# 1
The following is a DFT calculation (PBE) of a relaxed structure of BaC4O4F6.

Unit cell a=12.9667 b=12.9667 c=12.9667 alpha=112.76 beta=112.76 gamma=112.76
Last column: nearest neighbours and their distance in Å.
Positions (direct):
Ba 0.4860 0.0523 0.8448  6 O 2.70-2.93
Ba 0.0523 0.8448 0.4860  6 O 2.70-2.93
Ba 0.8448 0.4860 0.0523  6 O 2.70-2.93
Ba 0.5140 0.9477 0.1552  6 O 2.70-2.93
Ba 0.9477 0.1552 0.5140  6 O 2.70-2.93
Ba 0.1552 0.5140 0.9477  6 O 2.70-2.93
C 0.2077 0.8682 0.8257  2 O 1.26
C 0.8682 0.8257 0.2077  2 O 1.26
C 0.8257 0.2077 0.8682  2 O 1.26
C 0.7923 0.1318 0.1743  2 O 1.26
C 0.1318 0.1743 0.7923  2 O 1.26
C 0.1743 0.7923 0.1318  2 O 1.26
C 0.0688 0.7720 0.8027  3 F 1.35-1.38
C 0.7720 0.8027 0.0688  3 F 1.35-1.38
C 0.8027 0.0688 0.7720  3 F 1.35-1.38
C 0.9312 0.2280 0.1973  3 F 1.35-1.38
C 0.2280 0.1973 0.9312  3 F 1.35-1.38
C 0.1973 0.9312 0.2280  3 F 1.35-1.38
C 0.7421 0.4227 0.2368  2 O 1.26
C 0.4227 0.2368 0.7421  2 O 1.26
C 0.2368 0.7421 0.4227  2 O 1.26
C 0.2579 0.5773 0.7632  2 O 1.26
C 0.5773 0.7632 0.2579  2 O 1.26
C 0.7632 0.2579 0.5773  2 O 1.26
C 0.6983 0.3825 0.3202  3 F 1.35-1.38
C 0.3825 0.3202 0.6983  3 F 1.35-1.38
C 0.3202 0.6983 0.3825  3 F 1.35-1.38
C 0.3017 0.6175 0.6798  3 F 1.35-1.38
C 0.6175 0.6798 0.3017  3 F 1.35-1.38
C 0.6798 0.3017 0.6175  3 F 1.35-1.38
O 0.1882 0.8674 0.7220  1 C 1.26
O 0.8674 0.7220 0.1882  1 C 1.26
O 0.7220 0.1882 0.8674  1 C 1.26
O 0.8118 0.1326 0.2780  1 C 1.26
O 0.1326 0.2780 0.8118  1 C 1.26
O 0.2780 0.8118 0.1326  1 C 1.26
O 0.3274 0.9362 0.9434  1 C 1.26
O 0.9362 0.9434 0.3274  1 C 1.26
O 0.9434 0.3274 0.9362  1 C 1.26
O 0.6726 0.0638 0.0566  1 C 1.26
O 0.0638 0.0566 0.6726  1 C 1.26
O 0.0566 0.6726 0.0638  1 C 1.26
O 0.6745 0.3225 0.1064  1 C 1.26
O 0.3225 0.1064 0.6745  1 C 1.26
O 0.1064 0.6745 0.3225  1 C 1.26
O 0.3255 0.6775 0.8936  1 C 1.26
O 0.6775 0.8936 0.3255  1 C 1.26
O 0.8936 0.3255 0.6775  1 C 1.26
O 0.8446 0.5535 0.3097  1 C 1.26
O 0.5535 0.3097 0.8446  1 C 1.26
O 0.3097 0.8446 0.5535  1 C 1.26
O 0.1554 0.4465 0.6903  1 C 1.26
O 0.4465 0.6903 0.1554  1 C 1.26
O 0.6903 0.1554 0.4465  1 C 1.26
F 0.9496 0.7307 0.6892  1 C 1.35
F 0.7307 0.6892 0.9496  1 C 1.35
F 0.6892 0.9496 0.7307  1 C 1.35
F 0.0504 0.2693 0.3108  1 C 1.35
F 0.2693 0.3108 0.0504  1 C 1.35
F 0.3108 0.0504 0.2693  1 C 1.35
F 0.0470 0.6487 0.7754  1 C 1.38
F 0.6487 0.7754 0.0470  1 C 1.38
F 0.7754 0.0470 0.6487  1 C 1.38
F 0.9530 0.3513 0.2246  1 C 1.38
F 0.3513 0.2246 0.9530  1 C 1.38
F 0.2246 0.9530 0.3513  1 C 1.38
F 0.0789 0.8395 0.9205  1 C 1.36
F 0.8395 0.9205 0.0789  1 C 1.36
F 0.9205 0.0789 0.8395  1 C 1.36
F 0.9211 0.1605 0.0795  1 C 1.36
F 0.1605 0.0795 0.9211  1 C 1.36
F 0.0795 0.9211 0.1605  1 C 1.36
F 0.5856 0.2377 0.2337  1 C 1.38
F 0.2377 0.2337 0.5856  1 C 1.38
F 0.2337 0.5856 0.2377  1 C 1.38
F 0.4144 0.7623 0.7663  1 C 1.38
F 0.7623 0.7663 0.4144  1 C 1.38
F 0.7663 0.4144 0.7623  1 C 1.38
F 0.8110 0.4129 0.4314  1 C 1.36
F 0.4129 0.4314 0.8110  1 C 1.36
F 0.4314 0.8110 0.4129  1 C 1.36
F 0.1890 0.5871 0.5686  1 C 1.36
F 0.5871 0.5686 0.1890  1 C 1.36
F 0.5686 0.1890 0.5871  1 C 1.36
F 0.6574 0.4553 0.3744  1 C 1.35
F 0.4553 0.3744 0.6574  1 C 1.35
F 0.3744 0.6574 0.4553  1 C 1.35
F 0.3426 0.5447 0.6256  1 C 1.35
F 0.5447 0.6256 0.3426  1 C 1.35
F 0.6256 0.3426 0.5447  1 C 1.35

# 2
The following is a DFT calculation (PBE) of a relaxed structure of BaPb2C2O6F2.

Unit cell a=8.5707 b=8.5707 c=8.5707 alpha=35.66 beta=35.66 gamma=35.66
Last column: nearest neighbours and their distance in Å.
Positions (direct):
Ba 0.0000 0.0000 0.0000  6 O 2.91, 6 F 3.08
Pb 0.2166 0.2166 0.2166  1 F 2.24
Pb 0.7834 0.7834 0.7834  1 F 2.24
C 0.4298 0.4298 0.4298  3 O 1.30
C 0.5702 0.5702 0.5702  3 O 1.30
O 0.2877 0.7165 0.2877  1 C 1.30
O 0.7123 0.2835 0.7123  1 C 1.30
O 0.2877 0.2877 0.7165  1 C 1.30
O 0.7123 0.7123 0.2835  1 C 1.30
O 0.2835 0.7123 0.7123  1 C 1.30
O 0.7165 0.2877 0.2877  1 C 1.30
F 0.3098 0.3098 0.3098  1 Pb 2.24
F 0.6902 0.6902 0.6902  1 Pb 2.24

# 3
The following is a DFT calculation (PBE) of a relaxed structure of BaSmC2O6F.

Unit cell a=13.1475 b=13.1475 c=13.1475 alpha=22.23 beta=22.23 gamma=22.23
Last column: nearest neighbours and their distance in Å.
Positions (direct):
Ba 0.0000 0.0000 0.0000  6 O 2.86, 6 F 3.02
Ba 0.5000 0.5000 0.5000  12 O 2.98, 6 C 3.33
Sm 0.2549 0.2549 0.2549  1 F 2.28, 3 O 2.46
Sm 0.7451 0.7451 0.7451  1 F 2.28, 3 O 2.46
C 0.8747 0.8747 0.8747  3 O 1.30
C 0.1253 0.1253 0.1253  3 O 1.30
C 0.6065 0.6065 0.6065  3 O 1.29
C 0.3935 0.3935 0.3935  3 O 1.29
O 0.9785 0.9785 0.4216  1 C 1.30
O 0.4216 0.9785 0.9785  1 C 1.30
O 0.6889 0.2470 0.2470  1 C 1.29
O 0.2470 0.2470 0.6889  1 C 1.29
O 0.2470 0.6889 0.2470  1 C 1.29
O 0.7530 0.3111 0.7530  1 C 1.29
O 0.3111 0.7530 0.7530  1 C 1.29
O 0.7530 0.7530 0.3111  1 C 1.29
O 0.5784 0.0215 0.0215  1 C 1.30
O 0.0215 0.0215 0.5784  1 C 1.30
O 0.0215 0.5784 0.0215  1 C 1.30
O 0.9785 0.4216 0.9785  1 C 1.30
F 0.3141 0.3141 0.3141  1 Sm 2.28
F 0.6859 0.6859 0.6859  1 Sm 2.28

# 4
The following is a DFT calculation (PBE) of a relaxed structure of Ba2YC2O6F3.

Unit cell a=7.0869 b=9.6017 c=11.9107 alpha=90.00 beta=90.00 gamma=90.00
Last column: nearest neighbours and their distance in Å.
Positions (direct):
Ba 0.2626 0.8798 0.0712  4 F 2.62-2.86, 5 O 2.79-2.90
Ba 0.2626 0.1202 0.4288  4 F 2.62-2.86, 5 O 2.79-2.90
Ba 0.2374 0.3798 0.9288  4 F 2.62-2.86, 5 O 2.79-2.90
Ba 0.2374 0.6202 0.5712  4 F 2.62-2.86, 5 O 2.79-2.90
Ba 0.7375 0.1202 0.9288  4 F 2.62-2.86, 5 O 2.79-2.90
Ba 0.7375 0.8798 0.5712  4 F 2.62-2.86, 5 O 2.79-2.90
Ba 0.7625 0.6202 0.0712  4 F 2.62-2.86, 5 O 2.79-2.90
Ba 0.7625 0.3798 0.4288  4 F 2.62-2.86, 5 O 2.79-2.90
Y 0.2282 0.5000 0.2500  3 F 2.31, 6 O 2.43-2.57
Y 0.2718 0.0000 0.7500  3 F 2.31, 6 O 2.43-2.57
Y 0.7718 0.5000 0.7500  3 F 2.31, 6 O 2.43-2.57
Y 0.7282 0.0000 0.2500  3 F 2.31, 6 O 2.43-2.57
C 0.5205 0.3059 0.1798  3 O 1.28-1.31
C 0.5205 0.6941 0.3202  3 O 1.28-1.31
C 0.9795 0.8059 0.8202  3 O 1.28-1.31
C 0.9795 0.1941 0.6798  3 O 1.28-1.31
C 0.4795 0.6941 0.8202  3 O 1.28-1.31
C 0.4795 0.3059 0.6798  3 O 1.28-1.31
C 0.0205 0.1941 0.1798  3 O 1.28-1.31
C 0.0205 0.8059 0.3202  3 O 1.28-1.31
O 0.6201 0.2025 0.1463  1 C 1.28
O 0.6201 0.7975 0.3537  1 C 1.28
O 0.8799 0.7025 0.8537  1 C 1.28
O 0.8799 0.2975 0.6463  1 C 1.28
O 0.3799 0.7975 0.8537  1 C 1.28
O 0.3799 0.2025 0.6463  1 C 1.28
O 0.1201 0.2975 0.1463  1 C 1.28
O 0.1201 0.7025 0.3537  1 C 1.28
O 0.4783 0.4087 0.1127  1 C 1.30
O 0.4783 0.5913 0.3873  1 C 1.30
O 0.0217 0.9087 0.8873  1 C 1.30
O 0.0217 0.0913 0.6127  1 C 1.30
O 0.5217 0.5913 0.8873  1 C 1.30
O 0.5217 0.4087 0.6127  1 C 1.30
O 0.9783 0.0913 0.1127  1 C 1.30
O 0.9783 0.9087 0.3873  1 C 1.30
O 0.9574 0.8149 0.2170  1 C 1.31
O 0.9574 0.1851 0.2830  1 C 1.31
O 0.5426 0.3149 0.7830  1 C 1.31
O 0.5426 0.6851 0.7170  1 C 1.31
O 0.0426 0.1851 0.7830  1 C 1.31
O 0.0426 0.8149 0.7170  1 C 1.31
O 0.4574 0.6851 0.2170  1 C 1.31
O 0.4574 0.3149 0.2830  1 C 1.31
F 0.9018 0.5000 0.2500  1 Y 2.31
F 0.5982 0.0000 0.7500  1 Y 2.31
F 0.0982 0.5000 0.7500  1 Y 2.31
F 0.4018 0.0000 0.2500  1 Y 2.31
F 0.6503 0.9061 0.0779  1 Y 2.31
F 0.6503 0.0939 0.4221  1 Y 2.31
F 0.8497 0.4061 0.9221  1 Y 2.31
F 0.8497 0.5939 0.5779  1 Y 2.31
F 0.3497 0.0939 0.9221  1 Y 2.31
F 0.3497 0.9061 0.5779  1 Y 2.31
F 0.1503 0.5939 0.0779  1 Y 2.31
F 0.1503 0.4061 0.4221  1 Y 2.31

Listing energy of formation for the structures above in their given order: -31.395 -30.527 -31.969 -44.778 eV per formula unit.
Listing total magnetic moment for the structures above in their given order: 0.00 0.00 0.01 0.00 μB per cell.